--- one ---
Below is a geometry-optimized Li3Fe8B8O24 structure, with properties calculated at the PBE with a Hubbard U level.

```
Li3Fe8B8O24
1.0
5.2360 0.0000 0.0000
0.0698 9.1253 0.0000
2.5680 4.4877 10.1754
Li Fe B O
3 8 8 24
direct
0.0000 0.0000 0.0000
0.0451 0.0245 0.2659
0.2762 0.2903 0.7516
0.0116 0.6748 0.9768
0.0491 0.3846 0.2330
0.2648 0.5943 0.4776
0.2840 0.9629 0.7321
0.5120 0.1844 0.9909
0.5589 0.8681 0.2339
0.7562 0.0965 0.4906
0.7954 0.4708 0.7354
0.0648 0.7205 0.2247
0.2660 0.9274 0.4784
0.2993 0.6281 0.7348
0.5146 0.8467 0.9798
0.5400 0.2106 0.2388
0.7606 0.4241 0.4858
0.7944 0.1457 0.7334
0.9978 0.3428 0.9820
0.0188 0.9624 0.4573
0.0442 0.1300 0.7506
0.0767 0.4444 0.0364
0.1309 0.2167 0.9756
0.1490 0.7255 0.7845
0.1772 0.5265 0.6919
0.2655 0.8593 0.9487
0.2716 0.6839 0.2859
0.3910 0.8076 0.4474
0.3942 0.3337 0.2425
0.3954 0.0146 0.5268
0.4479 0.0976 0.2010
0.4994 0.4353 0.4947
0.5605 0.6247 0.7283
0.6003 0.9585 0.0219
0.6365 0.2554 0.7689
0.6677 0.7292 0.9704
0.6827 0.0573 0.6787
0.7757 0.3786 0.9301
0.7879 0.1940 0.2734
0.8957 0.3241 0.4304
0.8986 0.5072 0.5356
0.9489 0.8616 0.2066
0.9795 0.6117 0.1794
```



--- two ---
Below is a geometry-optimized Li3Fe8B8O24 structure, with properties calculated at the PBE with a Hubbard U level.

```
Li3Fe8B8O24
1.0
5.2955 0.0000 0.0000
0.0002 9.0532 0.0000
0.1753 0.0119 10.1722
Li Fe B O
3 8 8 24
direct
0.0000 0.0000 0.0000
0.1923 0.5059 0.7594
0.6863 0.9936 0.2621
0.0002 0.6660 0.4887
0.1827 0.8406 0.7380
0.1888 0.1674 0.2362
0.4982 0.1706 0.4879
0.4997 0.8349 0.9867
0.6743 0.6582 0.2395
0.6814 0.3340 0.7351
0.9971 0.3345 0.9850
0.0087 0.3324 0.4886
0.1653 0.8309 0.2382
0.1814 0.1691 0.7416
0.5020 0.8307 0.4827
0.5135 0.1664 0.9890
0.6672 0.6708 0.7350
0.6853 0.3308 0.2357
0.9950 0.6699 0.9825
0.0352 0.7079 0.2893
0.0424 0.9613 0.2148
0.0640 0.2998 0.7850
0.0682 0.0353 0.7636
0.0962 0.5353 0.9531
0.1076 0.4712 0.5000
0.1206 0.7990 0.9391
0.1526 0.2155 0.4403
0.2534 0.1771 0.0189
0.2615 0.8097 0.5401
0.4142 0.1797 0.6791
0.4232 0.8170 0.2080
0.5382 0.7984 0.7749
0.5517 0.5384 0.7352
0.5668 0.4634 0.2477
0.5691 0.2010 0.2829
0.5939 0.9683 0.4577
0.6373 0.0357 0.0077
0.6427 0.7061 0.4461
0.6436 0.2906 0.9447
0.7632 0.3060 0.5303
0.7679 0.6869 0.0502
0.9235 0.3186 0.1767
0.9262 0.6852 0.6943
```



Unit: eV/atom. Relative energies: one 0.007; two 0.000.